[1]
Compound: Li5MnO3F2
Source: the Materials Project
Functional: PBE with a Hubbard U
Structure: relaxed

```
data_Li5MnO3F2
_space_group_name_H-M_alt 'P 1'
_space_group_IT_number 1
_cell_length_a 5.159
_cell_length_b 7.606
_cell_length_c 11.599
_cell_angle_alpha 79.27
_cell_angle_beta 90.88
_cell_angle_gamma 106.33
loop_
_space_group_symop_operation_xyz
'x,y,z'
loop_
_atom_site_label
_atom_site_fract_x
_atom_site_fract_y
_atom_site_fract_z
O1 0.003 0.138 0.587
O2 0.753 0.388 0.087
O3 0.498 0.365 0.410
O4 0.751 0.751 0.998
O5 0.748 0.115 0.910
O6 0.253 0.888 0.087
O7 0.501 0.001 0.498
O8 0.503 0.638 0.587
O9 0.248 0.615 0.910
O10 0.998 0.865 0.410
O11 0.251 0.251 0.998
O12 0.001 0.501 0.498
Li1 0.025 0.276 0.154
Li2 0.226 0.477 0.343
Li3 0.275 0.026 0.654
Li4 0.525 0.776 0.154
Li5 0.791 0.884 0.559
Li6 0.041 0.634 0.059
Li7 0.459 0.868 0.937
Li8 0.726 0.977 0.343
Li9 0.291 0.384 0.559
Li10 0.959 0.368 0.937
Li11 0.476 0.227 0.843
Li12 0.976 0.727 0.843
Li13 0.876 0.128 0.748
Li14 0.775 0.526 0.654
Li15 0.209 0.118 0.437
Li16 0.376 0.628 0.748
Li17 0.126 0.878 0.248
Li18 0.626 0.378 0.248
Li19 0.541 0.134 0.059
Li20 0.709 0.618 0.437
Mn1 0.500 0.501 0.998
Mn2 0.000 0.001 0.998
Mn3 0.750 0.251 0.498
Mn4 0.250 0.751 0.498
F1 0.182 0.000 0.821
F2 0.070 0.753 0.675
F3 0.320 0.503 0.175
F4 0.432 0.750 0.321
F5 0.820 0.003 0.175
F6 0.570 0.253 0.675
F7 0.932 0.250 0.321
F8 0.682 0.500 0.821
```

=====

[2]
Compound: Li2MnO2F
Source: the Materials Project
Functional: PBE with a Hubbard U
Structure: relaxed

```
data_Li2MnO2F
_space_group_name_H-M_alt 'P 1'
_space_group_IT_number 1
_cell_length_a 5.146
_cell_length_b 5.146
_cell_length_c 9.840
_cell_angle_alpha 95.08
_cell_angle_beta 84.93
_cell_angle_gamma 60.46
loop_
_space_group_symop_operation_xyz
'x,y,z'
loop_
_atom_site_label
_atom_site_fract_x
_atom_site_fract_y
_atom_site_fract_z
O1 0.250 0.633 0.499
O2 0.740 0.777 0.749
O3 0.897 0.923 0.259
O4 0.673 0.147 0.991
O5 0.383 0.500 0.751
O6 0.267 0.855 0.002
O7 0.527 0.990 0.501
O8 0.605 0.517 0.248
Li1 0.146 0.396 0.625
Li2 0.381 0.124 0.881
Li3 0.613 0.863 0.125
Li4 0.233 0.920 0.377
Li5 0.793 0.043 0.625
Li6 0.670 0.483 0.873
Li7 0.291 0.541 0.125
Li8 0.874 0.631 0.369
Mn1 0.561 0.265 0.380
Mn2 0.478 0.728 0.625
Mn3 0.931 0.181 0.125
Mn4 0.015 0.811 0.870
F1 0.244 0.232 0.244
F2 0.064 0.135 0.748
F3 0.885 0.314 0.502
F4 0.982 0.494 0.006
```

Calculated values
symmetry = No. 5

=====

[3]
Compound: Li5Mn3O5F3
Source: the Materials Project
Functional: PBE with a Hubbard U
Structure: relaxed

```
data_Li5Mn3O5F3
_space_group_name_H-M_alt 'P 1'
_space_group_IT_number 1
_cell_length_a 5.801
_cell_length_b 5.933
_cell_length_c 6.099
_cell_angle_alpha 118.06
_cell_angle_beta 117.84
_cell_angle_gamma 90.93
loop_
_space_group_symop_operation_xyz
'x,y,z'
loop_
_atom_site_label
_atom_site_fract_x
_atom_site_fract_y
_atom_site_fract_z
Li1 0.862 0.611 0.738
Li2 0.874 0.125 0.248
Li3 0.864 0.133 0.743
Li4 0.381 0.613 0.743
Li5 0.394 0.143 0.281
O1 0.140 0.859 0.271
O2 0.624 0.375 0.746
O3 0.610 0.391 0.234
O4 0.124 0.406 0.251
O5 0.630 0.848 0.255
Mn1 0.858 0.608 0.215
Mn2 0.376 0.625 0.250
Mn3 0.378 0.128 0.744
F1 0.652 0.878 0.782
F2 0.097 0.372 0.718
F3 0.136 0.885 0.780
```

Calculated values
maximum piezoelectric response = 0.43 C/m2
symmetry = No. 1

=====

[4]
Compound: Li7MnO4F2
Source: the Materials Project
Functional: PBE with a Hubbard U
Structure: relaxed

```
data_Li7MnO4F2
_space_group_name_H-M_alt 'P 1'
_space_group_IT_number 1
_cell_length_a 5.514
_cell_length_b 5.677
_cell_length_c 10.254
_cell_angle_alpha 75.40
_cell_angle_beta 76.65
_cell_angle_gamma 61.23
loop_
_space_group_symop_operation_xyz
'x,y,z'
loop_
_atom_site_label
_atom_site_fract_x
_atom_site_fract_y
_atom_site_fract_z
O1 0.716 0.512 0.626
O2 0.476 0.168 0.613
O3 0.255 0.981 0.113
O4 0.577 0.802 0.378
O5 0.666 0.216 0.124
O6 0.307 0.773 0.879
O7 0.280 0.529 0.372
O8 0.731 0.071 0.881
Mn1 0.512 0.497 0.496
Mn2 0.997 0.010 0.997
F1 0.053 0.377 0.853
F2 0.891 0.199 0.367
F3 0.004 0.580 0.142
F4 0.070 0.792 0.635
Li1 0.395 0.256 0.018
Li2 0.358 0.586 0.155
Li3 0.430 0.053 0.831
Li4 0.547 0.170 0.330
Li5 0.091 0.420 0.647
Li6 0.370 0.850 0.670
Li7 0.929 0.284 0.174
Li8 0.659 0.464 0.832
Li9 0.220 0.895 0.322
Li10 0.756 0.847 0.524
Li11 0.785 0.138 0.682
Li12 0.022 0.720 0.837
Li13 0.624 0.872 0.174
Li14 0.963 0.522 0.347
```

Calculated values
symmetry = No. 1

=====

[5]
Compound: Li2MnOF2
Source: the Materials Project
Functional: PBE with a Hubbard U
Structure: relaxed

```
data_Li2MnOF2
_space_group_name_H-M_alt 'P 1'
_space_group_IT_number 1
_cell_length_a 4.174
_cell_length_b 10.503
_cell_length_c 6.189
_cell_angle_alpha 88.01
_cell_angle_beta 90.00
_cell_angle_gamma 90.00
loop_
_space_group_symop_operation_xyz
'x,y,z'
loop_
_atom_site_label
_atom_site_fract_x
_atom_site_fract_y
_atom_site_fract_z
Mn1 0.445 0.084 0.916
Mn2 0.945 0.916 0.084
Mn3 0.945 0.416 0.584
Mn4 0.445 0.584 0.416
F1 0.945 0.919 0.441
F2 0.445 0.761 0.598
F3 0.945 0.239 0.402
F4 0.945 0.419 0.941
F5 0.445 0.081 0.559
F6 0.445 0.261 0.098
F7 0.945 0.739 0.902
F8 0.445 0.581 0.059
Li1 0.946 0.249 0.085
Li2 0.446 0.418 0.917
Li3 0.446 0.918 0.417
Li4 0.946 0.749 0.585
Li5 0.446 0.751 0.915
Li6 0.946 0.582 0.083
Li7 0.946 0.082 0.583
Li8 0.446 0.251 0.415
O1 0.445 0.406 0.594
O2 0.945 0.594 0.406
O3 0.945 0.094 0.906
O4 0.445 0.906 0.094
```

=====

[6]
Compound: LiMnOF2
Source: the Materials Project
Functional: PBE with a Hubbard U
Structure: relaxed

```
data_LiMnOF2
_space_group_name_H-M_alt 'P 1'
_space_group_IT_number 1
_cell_length_a 8.953
_cell_length_b 5.243
_cell_length_c 10.445
_cell_angle_alpha 76.69
_cell_angle_beta 90.00
_cell_angle_gamma 90.00
loop_
_space_group_symop_operation_xyz
'x,y,z'
loop_
_atom_site_label
_atom_site_fract_x
_atom_site_fract_y
_atom_site_fract_z
F1 0.076 0.684 0.392
F2 0.952 0.535 0.110
F3 0.392 0.262 0.625
F4 0.754 0.717 0.365
F5 0.270 0.693 0.133
F6 0.924 0.184 0.392
F7 0.407 0.171 0.137
F8 0.404 0.933 0.866
F9 0.593 0.671 0.137
F10 0.730 0.193 0.133
F11 0.588 0.239 0.376
F12 0.246 0.217 0.365
F13 0.048 0.035 0.110
F14 0.596 0.433 0.866
F15 0.412 0.739 0.376
F16 0.608 0.762 0.625
O1 0.228 0.335 0.843
O2 0.085 0.852 0.840
O3 0.238 0.792 0.653
O4 0.082 0.275 0.650
O5 0.762 0.292 0.653
O6 0.915 0.352 0.840
O7 0.772 0.835 0.843
O8 0.918 0.775 0.650
Li1 0.095 0.760 0.032
Li2 0.590 0.144 0.576
Li3 0.911 0.827 0.457
Li4 0.410 0.644 0.576
Li5 0.415 0.252 0.941
Li6 0.089 0.327 0.457
Li7 0.905 0.260 0.032
Li8 0.585 0.752 0.941
Mn1 0.093 0.567 0.745
Mn2 0.803 0.445 0.256
Mn3 0.242 0.069 0.745
Mn4 0.907 0.067 0.745
Mn5 0.197 0.945 0.256
Mn6 0.590 0.951 0.257
Mn7 0.410 0.451 0.257
Mn8 0.758 0.569 0.745
```

Calculated values
symmetry = No. 7

=====

[7]
Compound: Li2MnO2F
Source: the Materials Project
Functional: PBE with a Hubbard U
Structure: relaxed

```
data_Li2MnO2F
_space_group_name_H-M_alt 'P 1'
_space_group_IT_number 1
_cell_length_a 4.607
_cell_length_b 5.691
_cell_length_c 8.710
_cell_angle_alpha 90.00
_cell_angle_beta 90.00
_cell_angle_gamma 90.00
loop_
_space_group_symop_operation_xyz
'x,y,z'
loop_
_atom_site_label
_atom_site_fract_x
_atom_site_fract_y
_atom_site_fract_z
F1 0.750 0.376 0.250
F2 0.250 0.124 0.750
F3 0.750 0.876 0.250
F4 0.250 0.624 0.750
O1 0.255 0.126 0.402
O2 0.245 0.626 0.098
O3 0.745 0.874 0.598
O4 0.255 0.126 0.098
O5 0.745 0.874 0.902
O6 0.755 0.374 0.598
O7 0.245 0.626 0.402
O8 0.755 0.374 0.902
Li1 0.240 0.374 0.573
Li2 0.760 0.626 0.427
Li3 0.740 0.126 0.073
Li4 0.740 0.126 0.427
Li5 0.260 0.874 0.573
Li6 0.260 0.874 0.927
Li7 0.760 0.626 0.073
Li8 0.240 0.374 0.927
Mn1 0.749 0.624 0.750
Mn2 0.751 0.124 0.750
Mn3 0.249 0.876 0.250
Mn4 0.251 0.376 0.250
```

Calculated values
symmetry = No. 62

=====

[8]
Compound: LiMn2O2F3
Source: the Materials Project
Functional: PBE with a Hubbard U
Structure: relaxed

```
data_LiMn2O2F3
_space_group_name_H-M_alt 'P 1'
_space_group_IT_number 1
_cell_length_a 5.423
_cell_length_b 5.423
_cell_length_c 9.930
_cell_angle_alpha 87.75
_cell_angle_beta 87.75
_cell_angle_gamma 42.42
loop_
_space_group_symop_operation_xyz
'x,y,z'
loop_
_atom_site_label
_atom_site_fract_x
_atom_site_fract_y
_atom_site_fract_z
F1 0.814 0.814 0.065
F2 0.280 0.280 0.267
F3 0.449 0.449 0.869
F4 0.562 0.562 0.386
F5 0.823 0.823 0.441
F6 0.557 0.557 0.105
O1 0.184 0.184 0.591
O2 0.436 0.436 0.609
O3 0.750 0.750 0.754
O4 0.181 0.181 0.907
Li1 0.697 0.697 0.233
Li2 0.370 0.370 0.070
Mn1 0.634 0.634 0.584
Mn2 0.653 0.653 0.933
Mn3 0.363 0.363 0.439
Mn4 0.302 0.302 0.750
```

Calculated values
symmetry = No. 8

=====

For each record above, in turn, the calculated ΔE_f values are -2.444 -2.415 -2.426 -2.120 -2.686 -2.620 -2.458 -2.532 eV per atom.